No. 1
Compound: LiDyO2
Source: the Materials Project
Functional: PBE
Structure: relaxed

Cell: 6.1578 6.2688 6.3568 Å, 60.12 90.00 90.00°
Fractional positions:
Li 0.3428 0.2955 0.9298
Li 0.8428 0.7045 0.5702
Li 0.6572 0.7045 0.0702
Li 0.1572 0.2955 0.4298
Dy 0.8689 0.2312 0.0245
Dy 0.6311 0.2312 0.5245
Dy 0.1311 0.7688 0.9755
Dy 0.3689 0.7688 0.4755
O 0.6080 0.4508 0.7357
O 0.8251 0.9874 0.8516
O 0.1080 0.5492 0.7643
O 0.3920 0.5492 0.2643
O 0.1749 0.0126 0.1484
O 0.3251 0.0126 0.6484
O 0.6749 0.9874 0.3516
O 0.8920 0.4508 0.2357

Summary:
Calculated total energy   -7.04 eV/atom
DFT formation energy   -3.285 eV per atom

=====

No. 2
Compound: LiDyO3
Source: the Materials Project
Functional: PBE
Structure: relaxed

Cell: 3.6747 3.6747 3.6747 Å, 90.00 90.00 90.00°
Fractional positions:
Li 0.5000 0.5000 0.5000
Dy 0.0000 0.0000 0.0000
O 0.5000 0.5000 0.0000
O 0.5000 0.0000 0.5000
O 0.0000 0.5000 0.5000

Summary:
Calculated total energy   -6.12 eV/atom
Size of the total moment   2.0 μB per cell
DFT formation energy   -2.260 eV per atom